VASP calculation (PBE) on a geometry-optimized Ba2MgNb6N2O14 structure.

E_form ... -68.50 eV/f.u.
Space-group type ... Cm (8)
Volume ... 15.17 Å³/atom
Final energy ... -8.4349 eV per atom
Energy above the most stable polymorph in this dataset ... 22.9 meV per atom

Unit cell a=10.594 b=10.594 c=9.080 alpha=91.23 beta=91.23 gamma=21.86
Atoms (fractional coordinates):
Ba 0.000 0.000 0.000
Ba 0.034 0.034 0.517
Mg 0.795 0.795 0.189
Nb 0.241 0.241 0.975
Nb 0.379 0.379 0.690
Nb 0.388 0.388 0.323
Nb 0.645 0.645 0.207
Nb 0.648 0.648 0.815
Nb 0.778 0.778 0.528
N 0.309 0.309 0.505
N 0.718 0.718 0.674
O 0.150 0.150 0.852
O 0.163 0.163 0.170
O 0.306 0.306 0.843
O 0.309 0.309 0.158
O 0.441 0.441 0.505
O 0.446 0.446 0.831
O 0.453 0.453 0.187
O 0.577 0.577 0.688
O 0.583 0.583 0.342
O 0.595 0.595 0.021
O 0.726 0.726 0.338
O 0.730 0.730 0.016
O 0.869 0.869 0.662
O 0.872 0.872 0.325